#one
Compound: Li5Co3Ni2O10
Source: the Materials Project database
Functional: PBE with a Hubbard U
Structure: optimized geometry Values from VASP.

Quantum ESPRESSO input file:
```
&SYSTEM
  ibrav = 0, nat = 40, ntyp = 4
/
ATOMIC_SPECIES
Li 6.94 Li.upf
Co 58.93 Co.upf
O 16.00 O.upf
Ni 58.69 Ni.upf
ATOMIC_POSITIONS crystal
Li 0.204 0.590 0.248
Li 0.000 0.499 0.500
Li 0.205 0.589 0.749
Li 0.396 0.210 0.754
Li 0.398 0.209 0.253
Li 0.604 0.790 0.746
Li 0.602 0.791 0.247
Li 0.796 0.410 0.252
Li 0.795 0.411 0.751
Li 0.000 0.501 0.000
Co 0.801 0.885 0.994
Co 0.199 0.115 0.506
Co 0.000 0.000 0.750
Co 0.804 0.884 0.493
Co 0.196 0.116 0.007
Co 0.000 0.000 0.250
O 0.796 0.663 0.382
O 0.197 0.856 0.887
O 0.413 0.456 0.389
O 0.799 0.664 0.880
O 0.803 0.144 0.613
O 0.590 0.545 0.613
O 0.410 0.455 0.887
O 0.007 0.224 0.867
O 0.993 0.775 0.131
O 0.204 0.337 0.118
O 0.398 0.939 0.116
O 0.587 0.544 0.111
O 0.007 0.225 0.369
O 0.201 0.336 0.620
O 0.993 0.776 0.633
O 0.199 0.856 0.388
O 0.801 0.144 0.112
O 0.602 0.061 0.384
O 0.397 0.939 0.616
O 0.603 0.061 0.884
Ni 0.403 0.695 0.999
Ni 0.597 0.305 0.501
Ni 0.593 0.305 0.001
Ni 0.407 0.695 0.499
CELL_PARAMETERS angstrom
5.145 0.262 -0.001
2.361 2.526 6.812
1.946 -9.995 0.289
```

Output
* density: 4.54 g cm⁻³
* total moment: 0.099 μB per atom

#two
Compound: Li5Co3Ni2O10
Source: the Materials Project database
Functional: PBE with a Hubbard U
Structure: optimized geometry Values from VASP.

Quantum ESPRESSO input file:
```
&SYSTEM
  ibrav = 0, nat = 40, ntyp = 4
/
ATOMIC_SPECIES
O 16.00 O.upf
Li 6.94 Li.upf
Co 58.93 Co.upf
Ni 58.69 Ni.upf
ATOMIC_POSITIONS crystal
O 0.217 0.742 0.220
O 0.057 0.059 0.871
O 0.789 0.263 0.766
O 0.780 0.756 0.781
O 0.044 0.559 0.869
O 0.571 0.057 0.336
O 0.137 0.151 0.534
O 0.211 0.238 0.235
O 0.850 0.836 0.443
O 0.944 0.446 0.133
O 0.863 0.348 0.466
O 0.536 0.545 0.336
O 0.137 0.655 0.536
O 0.357 0.858 0.950
O 0.653 0.643 0.060
O 0.961 0.942 0.131
O 0.661 0.147 0.062
O 0.432 0.446 0.668
O 0.468 0.953 0.662
O 0.339 0.354 0.938
Li 0.612 0.350 0.215
Li 0.191 0.953 0.414
Li 0.799 0.048 0.588
Li 0.500 0.750 0.498
Li 0.806 0.546 0.585
Li 0.500 0.250 0.500
Li 0.387 0.651 0.793
Li 0.388 0.149 0.786
Li 0.198 0.454 0.413
Li 0.613 0.852 0.207
Co 0.689 0.451 0.889
Co 0.313 0.548 0.114
Co 0.313 0.049 0.112
Co 0.003 0.751 0.000
Co 0.000 0.250 0.001
Co 0.684 0.951 0.887
Ni 0.896 0.651 0.305
Ni 0.902 0.155 0.306
Ni 0.103 0.849 0.693
Ni 0.098 0.345 0.695
CELL_PARAMETERS angstrom
5.108 0.252 -0.013
-1.950 9.969 -0.202
-1.813 -2.665 7.008
```

Output
* density: 4.54 g cm⁻³
* total moment: 0.001 μB per atom

Which one is most stable, and which one is least stable? #one is the most stable of them, while #two is the least stable.

#one
Compound: Li4Co5NiO12
Source: the Materials Project database
Functional: PBE with a Hubbard U
Structure: optimized geometry Values from VASP.

Quantum ESPRESSO input file:
```
&SYSTEM
  ibrav = 0, nat = 44, ntyp = 4
/
ATOMIC_SPECIES
O 16.00 O.upf
Co 58.93 Co.upf
Li 6.94 Li.upf
Ni 58.69 Ni.upf
ATOMIC_POSITIONS crystal
O 0.715 0.899 0.617
O 0.285 0.101 0.718
O 0.781 0.098 0.549
O 0.868 0.602 0.634
O 0.632 0.398 0.531
O 0.625 0.405 0.202
O 0.719 0.902 0.951
O 0.715 0.899 0.282
O 0.280 0.099 0.049
O 0.130 0.403 0.702
O 0.215 0.899 0.117
O 0.868 0.602 0.969
O 0.135 0.394 0.016
O 0.365 0.606 0.484
O 0.135 0.394 0.378
O 0.220 0.901 0.451
O 0.370 0.597 0.798
O 0.785 0.101 0.218
O 0.875 0.595 0.298
O 0.632 0.398 0.866
O 0.215 0.899 0.782
O 0.785 0.101 0.883
O 0.285 0.101 0.383
O 0.365 0.606 0.122
Co 0.250 0.500 0.914
Co 0.250 0.500 0.586
Co 0.250 0.500 0.250
Co 0.000 0.000 0.664
Co 0.750 0.500 0.417
Co 0.750 0.500 0.083
Co 0.500 0.000 0.836
Co 0.750 0.500 0.750
Co 0.500 0.000 0.164
Co 0.000 0.000 0.336
Li 0.538 0.751 0.124
Li 0.466 0.248 0.372
Li 0.034 0.752 0.128
Li 0.962 0.249 0.873
Li 0.034 0.752 0.624
Li 0.962 0.249 0.376
Li 0.538 0.751 0.627
Li 0.466 0.248 0.876
Ni 0.000 0.000 0.000
Ni 0.500 0.000 0.500
CELL_PARAMETERS angstrom
2.462 4.277 0.002
-2.433 4.252 9.987
7.331 -4.221 0.000
```

Output
* density: 4.57 g cm⁻³
* total moment: 0.045 μB per atom

#two
Compound: Li4Co5NiO12
Source: the Materials Project database
Functional: PBE with a Hubbard U
Structure: optimized geometry Values from VASP.

Quantum ESPRESSO input file:
```
&SYSTEM
  ibrav = 0, nat = 44, ntyp = 4
/
ATOMIC_SPECIES
O 16.00 O.upf
Co 58.93 Co.upf
Ni 58.69 Ni.upf
Li 6.94 Li.upf
ATOMIC_POSITIONS crystal
O 0.837 0.305 0.507
O 0.685 0.550 0.023
O 0.673 0.053 0.035
O 0.786 0.699 0.803
O 0.533 0.805 0.860
O 0.505 0.305 0.838
O 0.158 0.693 0.500
O 0.308 0.451 0.967
O 0.039 0.053 0.670
O 0.968 0.947 0.330
O 0.205 0.799 0.217
O 0.604 0.447 0.610
O 0.220 0.305 0.221
O 0.973 0.450 0.310
O 0.779 0.199 0.780
O 0.506 0.695 0.163
O 0.148 0.197 0.465
O 0.333 0.947 0.965
O 0.397 0.052 0.393
O 0.852 0.801 0.515
O 0.464 0.197 0.148
O 0.610 0.948 0.606
O 0.028 0.550 0.687
O 0.386 0.553 0.392
Co 0.174 0.749 0.837
Co 0.492 0.251 0.494
Co 0.833 0.251 0.165
Co 0.830 0.750 0.166
Co 0.501 0.748 0.509
Co 0.333 0.000 0.670
Co 0.333 0.500 0.662
Co 0.663 0.500 0.332
Co 0.674 0.000 0.330
Co 0.164 0.251 0.834
Ni 0.003 0.000 0.000
Ni 0.998 0.500 0.998
Li 0.257 0.872 0.587
Li 0.763 0.625 0.433
Li 0.742 0.127 0.414
Li 0.436 0.627 0.762
Li 0.239 0.374 0.564
Li 0.413 0.127 0.743
Li 0.589 0.872 0.251
Li 0.566 0.375 0.244
CELL_PARAMETERS angstrom
-2.433 4.294 -0.198
-0.758 -1.307 20.070
4.925 0.047 -0.201
```

Output
* density: 4.49 g cm⁻³
* total moment: 0.227 μB per atom

Which one is most stable, and which one is least stable? #two is the most stable of them, while #one is the least stable.

#one
Compound: Li3Co13O16
Source: the Materials Project database
Functional: PBE with a Hubbard U
Structure: optimized geometry Values from VASP.

Quantum ESPRESSO input file:
```
&SYSTEM
  ibrav = 0, nat = 32, ntyp = 3
/
ATOMIC_SPECIES
Li 6.94 Li.upf
Co 58.93 Co.upf
O 16.00 O.upf
ATOMIC_POSITIONS crystal
Li 0.373 0.062 0.747
Li 0.000 0.500 0.500
Li 0.627 0.938 0.253
Co 0.879 0.814 0.747
Co 0.120 0.690 0.253
Co 0.253 0.372 0.999
Co 0.121 0.186 0.253
Co 0.747 0.628 0.001
Co 0.744 0.122 0.999
Co 0.370 0.560 0.746
Co 0.500 0.750 0.500
Co 0.000 0.000 0.500
Co 0.500 0.250 0.500
Co 0.630 0.440 0.254
Co 0.256 0.878 0.001
Co 0.880 0.310 0.747
O 0.183 0.264 0.616
O 0.679 0.533 0.627
O 0.183 0.794 0.616
O 0.066 0.592 0.870
O 0.567 0.839 0.874
O 0.711 0.029 0.616
O 0.817 0.736 0.384
O 0.430 0.653 0.126
O 0.056 0.095 0.876
O 0.817 0.206 0.384
O 0.570 0.347 0.874
O 0.433 0.161 0.126
O 0.289 0.971 0.384
O 0.944 0.905 0.124
O 0.934 0.408 0.130
O 0.321 0.467 0.373
CELL_PARAMETERS angstrom
4.656 2.120 -0.633
-2.421 5.458 0.343
1.215 -1.717 9.679
```

Output
* density: 5.76 g cm⁻³
* total moment: 1.188 μB per atom

#two
Compound: Li3Co13O16
Source: the Materials Project database
Functional: PBE with a Hubbard U
Structure: optimized geometry Values from VASP.

Quantum ESPRESSO input file:
```
&SYSTEM
  ibrav = 0, nat = 32, ntyp = 3
/
ATOMIC_SPECIES
O 16.00 O.upf
Co 58.93 Co.upf
Li 6.94 Li.upf
ATOMIC_POSITIONS crystal
O 0.036 0.379 0.216
O 0.660 0.878 0.593
O 0.534 0.366 0.720
O 0.220 0.623 0.527
O 0.152 0.869 0.095
O 0.406 0.875 0.844
O 0.087 0.134 0.657
O 0.726 0.619 0.031
O 0.913 0.866 0.343
O 0.964 0.621 0.784
O 0.594 0.125 0.156
O 0.780 0.377 0.473
O 0.848 0.131 0.905
O 0.466 0.634 0.280
O 0.274 0.381 0.969
O 0.340 0.122 0.407
Co 0.874 0.504 0.626
Co 0.126 0.496 0.374
Co 0.565 0.749 0.437
Co 0.191 0.248 0.812
Co 0.809 0.752 0.188
Co 0.619 0.504 0.876
Co 0.747 0.996 0.751
Co 0.934 0.246 0.063
Co 0.381 0.496 0.124
Co 0.000 0.000 0.500
Co 0.435 0.251 0.563
Co 0.066 0.754 0.937
Co 0.253 0.004 0.249
Li 0.311 0.750 0.688
Li 0.500 0.000 0.000
Li 0.689 0.250 0.312
CELL_PARAMETERS angstrom
-5.161 0.000 0.000
-0.834 -5.099 0.000
-1.708 -0.568 11.442
```

Output
* density: 5.75 g cm⁻³
* total moment: 1.316 μB per atom

Which one is most stable, and which one is least stable? #one is the most stable of them, while #two is the least stable.

#one
Compound: Li10Co4O9
Source: the Materials Project database
Functional: PBE with a Hubbard U
Structure: optimized geometry Values from VASP.

Quantum ESPRESSO input file:
```
&SYSTEM
  ibrav = 0, nat = 46, ntyp = 3
/
ATOMIC_SPECIES
Li 6.94 Li.upf
Co 58.93 Co.upf
O 16.00 O.upf
ATOMIC_POSITIONS crystal
Li 0.895 0.937 0.040
Li 0.250 0.250 0.418
Li 0.563 0.605 0.540
Li 0.105 0.437 0.960
Li 0.437 0.395 0.460
Li 0.750 0.750 0.582
Li 0.937 0.605 0.540
Li 0.605 0.937 0.040
Li 0.563 0.895 0.540
Li 0.105 0.063 0.960
Li 0.063 0.395 0.460
Li 0.395 0.063 0.960
Li 0.895 0.563 0.040
Li 0.605 0.563 0.040
Li 0.937 0.895 0.540
Li 0.250 0.250 0.918
Li 0.750 0.750 0.082
Li 0.063 0.105 0.460
Li 0.395 0.437 0.960
Li 0.437 0.105 0.460
Co 0.750 0.089 0.519
Co 0.250 0.589 0.481
Co 0.411 0.750 0.019
Co 0.250 0.911 0.481
Co 0.089 0.750 0.019
Co 0.589 0.250 0.981
Co 0.911 0.250 0.981
Co 0.750 0.411 0.519
O 0.423 0.923 0.250
O 0.077 0.923 0.250
O 0.408 0.250 0.177
O 0.250 0.092 0.677
O 0.092 0.250 0.177
O 0.923 0.077 0.750
O 0.750 0.250 0.250
O 0.592 0.750 0.823
O 0.923 0.423 0.750
O 0.077 0.577 0.250
O 0.250 0.408 0.677
O 0.750 0.908 0.323
O 0.750 0.592 0.323
O 0.577 0.077 0.750
O 0.250 0.750 0.750
O 0.908 0.750 0.823
O 0.423 0.577 0.250
O 0.577 0.423 0.750
CELL_PARAMETERS angstrom
9.822 0.000 0.000
0.000 9.822 0.000
0.000 0.000 4.700
```

Output
* density: 3.29 g cm⁻³

#two
Compound: Li10Co4O9
Source: the Materials Project database
Functional: PBE with a Hubbard U
Structure: optimized geometry Values from VASP.

Quantum ESPRESSO input file:
```
&SYSTEM
  ibrav = 0, nat = 46, ntyp = 3
/
ATOMIC_SPECIES
O 16.00 O.upf
Li 6.94 Li.upf
Co 58.93 Co.upf
ATOMIC_POSITIONS crystal
O 0.120 0.045 0.258
O 0.610 0.891 0.972
O 0.921 0.659 0.479
O 0.927 0.322 0.221
O 0.684 0.887 0.279
O 0.264 0.423 0.982
O 0.223 0.738 0.226
O 0.616 0.207 0.472
O 0.390 0.109 0.028
O 0.880 0.955 0.742
O 0.073 0.678 0.779
O 0.316 0.113 0.721
O 0.079 0.341 0.521
O 0.777 0.262 0.774
O 0.423 0.467 0.284
O 0.736 0.577 0.018
O 0.384 0.793 0.528
O 0.577 0.533 0.716
Li 0.511 0.926 0.377
Li 0.959 0.133 0.344
Li 0.399 0.664 0.150
Li 0.041 0.867 0.656
Li 0.761 0.468 0.628
Li 0.505 0.609 0.901
Li 0.850 0.379 0.394
Li 0.193 0.154 0.871
Li 0.495 0.391 0.099
Li 0.870 0.712 0.858
Li 0.489 0.074 0.623
Li 0.150 0.621 0.606
Li 0.349 0.919 0.873
Li 0.130 0.288 0.142
Li 0.651 0.081 0.127
Li 0.601 0.336 0.850
Li 0.239 0.532 0.372
Li 0.807 0.846 0.129
Li 0.864 0.185 0.616
Li 0.136 0.815 0.384
Co 0.930 0.528 0.132
Co 0.712 0.693 0.370
Co 0.758 0.039 0.859
Co 0.288 0.307 0.630
Co 0.590 0.755 0.634
Co 0.410 0.245 0.366
Co 0.070 0.472 0.868
Co 0.242 0.961 0.141
CELL_PARAMETERS angstrom
-4.260 6.250 -0.478
-0.480 -4.401 6.365
8.820 3.351 2.686
```

Output
* density: 3.09 g cm⁻³
* total moment: 0.522 μB per atom

Which one is most stable, and which one is least stable? #one is the most stable of them, while #two is the least stable.